Compound: Y5In4Pd2
Source: the Materials Project database
Functional: r2SCAN
Structure: relaxed

Properties
ΔH_f (0 K) in eV/atom: -0.800

Cell: 3.647 8.076 18.243 Å, 90.00 90.00 90.00°
Element x y z (fractional)
Y (0.500, 0.000, 0.000)
Pd (0.000, 0.026, 0.696)
In (0.000, 0.579, 0.349)
In (0.000, 0.791, 0.569)
Y (0.500, 0.241, 0.781)
Y (0.500, 0.741, 0.719)
In (0.000, 0.079, 0.151)
Pd (0.000, 0.526, 0.804)
Y (0.500, 0.759, 0.219)
Pd (0.000, 0.974, 0.304)
Y (0.500, 0.382, 0.083)
Pd (0.000, 0.474, 0.196)
Y (0.500, 0.500, 0.500)
Y (0.500, 0.618, 0.917)
In (0.000, 0.921, 0.849)
In (0.000, 0.421, 0.651)
In (0.000, 0.709, 0.069)
Y (0.500, 0.259, 0.281)
Y (0.500, 0.118, 0.583)
Y (0.500, 0.882, 0.417)
In (0.000, 0.209, 0.431)
In (0.000, 0.291, 0.931)

=====

Compound: Co2Sn3Te3
Source: the Materials Project database
Functional: r2SCAN
Structure: relaxed

Properties
ΔH_f (0 K) in eV/atom: -0.224

Cell: 9.132 9.132 9.132 Å, 90.07 90.07 90.07°
Element x y z (fractional)
Sn (0.501, 0.334, 0.820)
Sn (0.320, 0.997, 0.165)
Te (0.840, 0.504, 0.655)
Sn (0.499, 0.666, 0.180)
Te (0.496, 0.345, 0.160)
Te (0.160, 0.496, 0.345)
Sn (0.820, 0.501, 0.334)
Sn (0.680, 0.003, 0.835)
Te (0.155, 0.661, 0.999)
Te (0.999, 0.155, 0.661)
Sn (0.835, 0.680, 0.003)
Te (0.845, 0.339, 0.001)
Co (0.252, 0.252, 0.252)
Te (0.661, 0.999, 0.155)
Co (0.756, 0.255, 0.752)
Sn (0.666, 0.180, 0.499)
Te (0.339, 0.001, 0.845)
Co (0.244, 0.745, 0.248)
Co (0.748, 0.748, 0.748)
Te (0.655, 0.840, 0.504)
Sn (0.165, 0.320, 0.997)
Co (0.752, 0.756, 0.255)
Sn (0.997, 0.165, 0.320)
Co (0.248, 0.244, 0.745)
Te (0.001, 0.845, 0.339)
Te (0.345, 0.160, 0.496)
Te (0.504, 0.655, 0.840)
Sn (0.003, 0.835, 0.680)
Sn (0.334, 0.820, 0.501)
Co (0.745, 0.248, 0.244)
Co (0.255, 0.752, 0.756)
Sn (0.180, 0.499, 0.666)

=====

Compound: ErNi2Ge2
Source: the Materials Project database
Functional: r2SCAN
Structure: relaxed

Properties
ΔH_f (0 K) in eV/atom: -0.699

Cell: 4.014 4.014 5.615 Å, 110.94 110.94 90.00°
Element x y z (fractional)
Ni (0.750, 0.250, 0.500)
Ni (0.250, 0.750, 0.500)
Er (0.000, 0.000, 0.000)
Ge (0.372, 0.372, 0.744)
Ge (0.628, 0.628, 0.256)

=====

Compound: Ba2SrI6
Source: the Materials Project database
Functional: r2SCAN
Structure: relaxed

Properties
ΔH_f (0 K) in eV/atom: -2.000
Energy relative to the lowest polymorph listed for this composition in eV/atom: 0.0000

Cell: 9.228 9.228 5.037 Å, 90.00 90.00 120.00°
Element x y z (fractional)
I (0.000, 0.251, 0.500)
I (0.000, 0.596, 0.000)
I (0.749, 0.749, 0.500)
I (0.404, 0.404, 0.000)
Ba (0.333, 0.667, 0.500)
Sr (0.000, 0.000, 0.000)
I (0.596, 0.000, 0.000)
I (0.251, 0.000, 0.500)
Ba (0.667, 0.333, 0.500)

=====

Compound: Al2SiO5
Source: the Materials Project database
Functional: r2SCAN
Structure: relaxed

Properties
ΔH_f (0 K) in eV/atom: -3.241
Energy relative to the lowest polymorph listed for this composition in eV/atom: 0.0000

Cell: 5.565 7.118 7.846 Å, 105.99 89.99 101.11°
Element x y z (fractional)
O (0.756, 0.502, 0.231)
O (0.333, 0.892, 0.848)
O (0.936, 0.283, 0.935)
Al (0.950, 0.297, 0.699)
O (0.244, 0.498, 0.769)
O (0.871, 0.891, 0.853)
O (0.429, 0.282, 0.446)
Si (0.189, 0.291, 0.332)
Al (0.360, 0.901, 0.614)
O (0.819, 0.878, 0.315)
Al (0.050, 0.703, 0.301)
O (0.181, 0.122, 0.685)
O (0.129, 0.109, 0.147)
O (0.571, 0.718, 0.554)
O (0.064, 0.717, 0.065)
O (0.046, 0.725, 0.545)
O (0.361, 0.879, 0.369)
Al (0.458, 0.325, 0.704)
Si (0.293, 0.704, 0.935)
Al (0.542, 0.675, 0.296)
O (0.244, 0.501, 0.275)
Al (0.836, 0.889, 0.083)
O (0.954, 0.275, 0.455)
O (0.639, 0.121, 0.631)
Al (0.164, 0.111, 0.917)
Si (0.707, 0.296, 0.065)
O (0.756, 0.499, 0.725)
O (0.465, 0.291, 0.946)
O (0.667, 0.108, 0.152)
Al (0.640, 0.099, 0.386)
Si (0.811, 0.709, 0.668)
O (0.535, 0.709, 0.054)

=====

Compound: Si2O5
Source: the Materials Project database
Functional: r2SCAN
Structure: relaxed

Properties
ΔH_f (0 K) in eV/atom: -2.281

Cell: 7.429 7.429 7.429 Å, 140.43 131.22 64.55°
Element x y z (fractional)
O (0.675, 0.522, 0.461)
Si (0.221, 0.068, 0.058)
Si (0.779, 0.837, 0.847)
O (0.439, 0.286, 0.461)
Si (0.510, 0.568, 0.847)
O (0.088, 0.213, 0.917)
O (0.797, 0.713, 0.125)
O (0.325, 0.786, 0.847)
O (0.203, 0.329, 0.917)
O (0.912, 0.829, 0.125)
O (0.000, 0.994, 0.994)
Si (0.490, 0.337, 0.058)
O (0.500, 0.494, 0.994)
O (0.561, 0.022, 0.847)

=====

Compound: Ba11Bi10
Source: the Materials Project database
Functional: r2SCAN
Structure: relaxed

Properties
ΔH_f (0 K) in eV/atom: -1.046

Cell: 13.406 13.406 13.747 Å, 119.18 119.18 90.00°
Element x y z (fractional)
Ba (0.347, 0.347, 0.694)
Ba (0.725, 0.395, 0.791)
Ba (0.558, 0.809, 0.617)
Bi (0.619, 0.381, 0.000)
Ba (0.395, 0.066, 0.791)
Bi (0.619, 0.619, 0.000)
Bi (0.892, 0.892, 0.361)
Bi (0.000, 0.360, 0.000)
Bi (0.892, 0.470, 0.361)
Bi (0.360, 0.000, 0.000)
Ba (0.809, 0.060, 0.617)
Ba (0.832, 0.832, 0.000)
Ba (0.605, 0.275, 0.209)
Ba (0.934, 0.605, 0.209)
Bi (0.381, 0.619, 0.000)
Bi (0.883, 0.883, 0.766)
Bi (0.108, 0.530, 0.639)
Bi (0.470, 0.470, 0.361)
Ba (0.191, 0.442, 0.383)
Bi (0.117, 0.117, 0.234)
Ba (0.940, 0.191, 0.383)
Ba (0.191, 0.940, 0.383)
Ba (0.275, 0.605, 0.209)
Ba (0.168, 0.832, 0.000)
Bi (0.381, 0.381, 0.000)
Bi (0.640, 0.000, 0.000)
Ba (0.395, 0.725, 0.791)
Ba (0.442, 0.191, 0.383)
Ba (0.060, 0.809, 0.617)
Bi (0.250, 0.750, 0.500)
Ba (0.066, 0.395, 0.791)
Bi (0.530, 0.108, 0.639)
Bi (0.108, 0.108, 0.639)
Bi (0.750, 0.250, 0.500)
Bi (0.000, 0.640, 0.000)
Ba (0.653, 0.653, 0.306)
Ba (0.168, 0.168, 0.000)
Bi (0.470, 0.892, 0.361)
Ba (0.605, 0.934, 0.209)
Ba (0.832, 0.168, 0.000)
Bi (0.530, 0.530, 0.639)
Ba (0.809, 0.558, 0.617)

=====

Compound: ZrAlPt
Source: the Materials Project database
Functional: r2SCAN
Structure: relaxed

Properties
ΔH_f (0 K) in eV/atom: -1.165

Cell: 6.824 6.824 7.907 Å, 90.00 90.00 120.00°
Element x y z (fractional)
Zr (0.414, 0.414, 0.250)
Zr (0.000, 0.586, 0.250)
Al (0.000, 0.248, 0.000)
Zr (0.586, 0.000, 0.750)
Zr (0.586, 0.000, 0.250)
Al (0.000, 0.248, 0.500)
Zr (0.000, 0.586, 0.750)
Al (0.752, 0.752, 0.500)
Pt (0.000, 0.000, 0.750)
Al (0.248, 0.000, 0.500)
Al (0.752, 0.752, 0.000)
Pt (0.000, 0.000, 0.250)
Al (0.248, 0.000, 0.000)
Zr (0.414, 0.414, 0.750)
Pt (0.333, 0.667, 0.000)
Pt (0.667, 0.333, 0.000)
Pt (0.333, 0.667, 0.500)
Pt (0.667, 0.333, 0.500)

=====

Compound: NpTeAs
Source: the Materials Project database
Functional: r2SCAN
Structure: relaxed

Properties
ΔH_f (0 K) in eV/atom: -1.077

Cell: 4.165 4.165 8.876 Å, 90.00 90.00 90.00°
Element x y z (fractional)
As (0.250, 0.750, 0.000)
Np (0.250, 0.250, 0.249)
Te (0.250, 0.250, 0.629)
Te (0.750, 0.750, 0.371)
As (0.750, 0.250, 0.000)
Np (0.750, 0.750, 0.751)

=====

Compound: SiO2
Source: the Materials Project database
Functional: r2SCAN
Structure: relaxed

Properties
ΔH_f (0 K) in eV/atom: -3.017

Cell: 8.333 8.333 8.333 Å, 105.24 105.24 118.31°
Element x y z (fractional)
O (0.106, 0.394, 0.000)
Si (0.083, 0.082, 0.290)
O (0.249, 0.749, 0.999)
O (0.685, 0.500, 0.185)
O (0.315, 0.499, 0.815)
Si (0.918, 0.208, 0.000)
O (0.751, 0.251, 0.001)
O (0.749, 0.751, 0.500)
O (0.606, 0.606, 0.712)
O (0.394, 0.106, 0.000)
Si (0.418, 0.417, 0.710)
O (0.815, 0.000, 0.815)
O (0.001, 0.185, 0.185)
O (0.185, 0.999, 0.185)
O (0.500, 0.685, 0.185)
Si (0.707, 0.708, 0.290)
O (0.000, 0.815, 0.815)
Si (0.292, 0.582, 0.000)
O (0.894, 0.894, 0.288)
O (0.501, 0.315, 0.815)
Si (0.792, 0.793, 0.710)
O (0.251, 0.249, 0.500)
Si (0.207, 0.917, 0.000)
Si (0.583, 0.293, 0.000)

=====

Compound: Ho2CdCu2
Source: the Materials Project database
Functional: r2SCAN
Structure: relaxed

Properties
ΔH_f (0 K) in eV/atom: -0.333

Cell: 7.430 7.430 3.699 Å, 90.00 90.00 90.00°
Element x y z (fractional)
Cu (0.620, 0.880, 0.000)
Cu (0.120, 0.620, 0.000)
Ho (0.325, 0.825, 0.500)
Ho (0.675, 0.175, 0.500)
Cd (0.000, 0.000, 0.000)
Cd (0.500, 0.500, 0.000)
Ho (0.175, 0.325, 0.500)
Ho (0.825, 0.675, 0.500)
Cu (0.380, 0.120, 0.000)
Cu (0.880, 0.380, 0.000)

=====

Compound: Tb3Te3N
Source: the Materials Project database
Functional: r2SCAN
Structure: relaxed

Properties
ΔH_f (0 K) in eV/atom: -1.794

Cell: 12.028 8.144 8.675 Å, 71.14 90.00 90.00°
Element x y z (fractional)
Tb (0.977, 0.398, 0.862)
Te (0.479, 0.222, 0.086)
Te (0.809, 0.047, 0.017)
Te (0.267, 0.506, 0.313)
Te (0.733, 0.494, 0.687)
Te (0.767, 0.494, 0.187)
Te (0.691, 0.047, 0.517)
Tb (0.523, 0.398, 0.362)
N (0.534, 0.673, 0.377)
Tb (0.792, 0.768, 0.845)
N (0.034, 0.327, 0.123)
Tb (0.023, 0.602, 0.138)
N (0.466, 0.327, 0.623)
Te (0.309, 0.953, 0.483)
Tb (0.292, 0.232, 0.655)
Te (0.233, 0.506, 0.813)
Tb (0.411, 0.838, 0.205)
Tb (0.911, 0.162, 0.295)
Te (0.521, 0.778, 0.914)
Tb (0.477, 0.602, 0.638)
Te (0.021, 0.222, 0.586)
Tb (0.208, 0.232, 0.155)
Tb (0.589, 0.162, 0.795)
N (0.966, 0.673, 0.877)
Tb (0.708, 0.768, 0.345)
Tb (0.089, 0.838, 0.705)
Te (0.191, 0.953, 0.983)
Te (0.979, 0.778, 0.414)

=====

Compound: Rb2PrI5
Source: the Materials Project database
Functional: r2SCAN
Structure: relaxed

Properties
ΔH_f (0 K) in eV/atom: -1.731

Cell: 9.348 10.067 14.810 Å, 90.00 90.00 90.00°
Element x y z (fractional)
I (0.332, 0.954, 0.926)
I (0.075, 0.250, 0.991)
Pr (0.079, 0.250, 0.494)
I (0.342, 0.250, 0.204)
I (0.575, 0.750, 0.509)
Pr (0.921, 0.750, 0.506)
I (0.842, 0.750, 0.296)
I (0.376, 0.750, 0.180)
I (0.624, 0.250, 0.820)
Pr (0.579, 0.750, 0.006)
Rb (0.941, 0.003, 0.827)
I (0.168, 0.546, 0.426)
I (0.158, 0.250, 0.704)
Rb (0.559, 0.497, 0.327)
I (0.425, 0.250, 0.491)
Rb (0.059, 0.997, 0.173)
Rb (0.559, 0.003, 0.327)
Rb (0.441, 0.503, 0.673)
I (0.668, 0.046, 0.074)
I (0.832, 0.454, 0.574)
Rb (0.059, 0.503, 0.173)
I (0.925, 0.750, 0.009)
I (0.332, 0.546, 0.926)
I (0.668, 0.454, 0.074)
I (0.658, 0.750, 0.796)
I (0.876, 0.250, 0.320)
I (0.832, 0.046, 0.574)
I (0.124, 0.750, 0.680)
Pr (0.421, 0.250, 0.994)
Rb (0.941, 0.497, 0.827)
Rb (0.441, 0.997, 0.673)
I (0.168, 0.954, 0.426)

=====

Compound: V3O7
Source: the Materials Project database
Functional: r2SCAN
Structure: relaxed

Properties
ΔH_f (0 K) in eV/atom: -2.492

Cell: 10.017 10.017 10.016 Å, 91.84 91.84 159.34°
Element x y z (fractional)
O (0.291, 0.094, 0.385)
V (0.365, 0.000, 0.365)
V (0.000, 0.000, 0.000)
O (0.094, 0.291, 0.385)
V (0.183, 0.183, 0.367)
O (0.901, 0.901, 0.802)
O (0.906, 0.709, 0.615)
O (0.500, 0.093, 0.593)
V (0.000, 0.365, 0.365)
O (0.500, 0.907, 0.407)
V (0.817, 0.817, 0.633)
O (0.094, 0.709, 0.803)
O (0.291, 0.906, 0.197)
V (0.817, 0.183, 0.000)
O (0.709, 0.906, 0.615)
O (0.901, 0.099, 0.000)
O (0.294, 0.706, 0.000)
O (0.709, 0.094, 0.803)
O (0.099, 0.099, 0.198)
O (0.294, 0.294, 0.587)
O (0.906, 0.291, 0.197)
O (0.093, 0.500, 0.593)
O (0.706, 0.706, 0.413)
V (0.000, 0.635, 0.635)
O (0.500, 0.500, 0.000)
O (0.706, 0.294, 0.000)
O (0.099, 0.901, 0.000)
V (0.183, 0.817, 0.000)
V (0.635, 0.000, 0.635)
O (0.907, 0.500, 0.407)

=====

Compound: Tm2AgOs
Source: the Materials Project database
Functional: r2SCAN
Structure: relaxed

Properties
ΔH_f (0 K) in eV/atom: -0.399

Cell: 4.851 4.851 4.851 Å, 60.00 60.00 60.00°
Element x y z (fractional)
Tm (0.000, 0.000, 0.000)
Ag (0.250, 0.250, 0.250)
Os (0.750, 0.750, 0.750)
Tm (0.500, 0.500, 0.500)